## Na6Mg2Zr6Si5S7O48 (PBE)

Data for crystalline Na6Mg2Zr6Si5S7O48 at its relaxed geometry.

The structure in extended XYZ format:
```
222
Lattice="9.041 0.000 0.000 -0.003 15.592 0.000 -0.005 -0.013 23.380" Properties=species:S:1:pos:R:3 pbc="T T T"
Na 0.000 0.000 0.000
Na 9.036 0.119 11.852
Na 0.038 5.168 4.243
Na 0.079 5.137 15.612
Na 0.083 10.416 8.089
Na 0.115 10.510 19.439
Na 1.277 12.879 9.810
Na 1.624 8.179 9.776
Na 3.081 0.378 21.410
Na 3.430 5.074 21.445
Na 4.573 2.718 7.853
Na 4.613 2.600 19.664
Na 4.621 12.973 3.947
Na 4.650 7.892 0.059
Na 4.670 13.055 15.839
Na 4.701 7.771 11.740
Na 6.331 10.260 9.825
Na 7.393 2.438 21.457
Mg 9.035 5.268 7.323
Mg 0.038 5.110 19.197
Mg 0.075 10.437 11.186
Mg 4.630 2.627 22.858
Mg 4.646 12.936 7.572
Mg 4.688 13.094 18.965
Zr 9.039 5.166 0.386
Zr 0.006 0.042 15.131
Zr 0.084 0.125 8.314
Zr 0.110 0.096 3.511
Zr 0.140 10.526 4.358
Zr 0.147 10.515 23.064
Zr 0.155 10.520 16.190
Zr 4.551 2.714 4.530
Zr 4.579 7.874 15.189
Zr 4.587 2.610 15.961
Zr 4.595 7.833 3.545
Zr 4.612 2.653 11.465
Zr 4.628 7.885 19.933
Zr 4.708 7.743 8.360
Zr 4.734 13.043 0.556
Zr 4.746 13.026 12.135
Zr 9.005 5.227 12.264
Zr 9.029 15.558 19.971
Si 1.366 2.400 5.922
Si 1.445 2.950 21.413
Si 1.949 2.640 13.689
Si 2.770 10.430 1.994
Si 3.261 10.780 9.753
Si 3.323 10.189 17.608
Si 5.871 15.269 21.425
Si 5.904 4.953 13.728
Si 5.908 0.306 13.686
Si 6.017 5.584 5.885
Si 6.465 5.261 21.422
Si 7.267 13.044 9.719
Si 7.739 13.366 17.569
Si 7.825 12.762 2.030
Si 7.890 7.479 9.738
S 1.369 7.510 21.447
S 1.389 8.197 13.664
S 1.408 12.681 13.643
S 1.447 13.377 5.917
S 1.953 7.842 5.919
S 2.013 13.001 21.457
S 2.678 5.188 9.749
S 2.726 0.048 17.610
S 3.249 5.555 17.611
S 3.288 4.909 1.969
S 3.307 0.406 1.977
S 3.328 15.315 9.734
S 5.924 10.150 5.900
S 5.935 10.770 21.463
S 6.480 -0.002 5.886
S 6.530 10.426 13.678
S 7.216 2.654 1.992
S 7.270 7.788 17.569
S 7.793 3.007 9.748
S 7.811 2.364 17.594
S 7.826 8.166 2.009
O 0.676 3.644 22.768
O 0.741 1.453 21.315
O 0.752 1.575 4.607
O 0.772 3.852 6.062
O 0.782 8.864 21.636
O 0.795 12.028 5.774
O 0.801 8.811 14.873
O 0.809 6.902 20.250
O 0.808 12.074 12.454
O 0.806 14.029 13.836
O 0.825 6.825 13.554
O 0.830 13.979 7.129
O 1.042 1.303 13.872
O 1.043 3.978 13.493
O 1.076 11.820 21.625
O 1.094 9.056 5.728
O 1.103 14.194 4.714
O 1.113 1.370 7.184
O 1.129 11.847 14.866
O 1.153 6.638 5.992
O 1.163 6.682 22.683
O 1.174 8.989 12.457
O 1.168 14.245 21.365
O 1.233 3.955 20.195
O 1.668 10.176 17.398
O 1.675 10.559 9.998
O 1.772 10.611 3.298
O 1.779 10.185 0.694
O 1.794 5.477 17.726
O 1.819 0.243 2.167
O 1.817 5.088 1.864
O 1.810 15.410 9.622
O 1.847 15.518 16.424
O 1.880 5.016 8.554
O 1.881 5.409 10.982
O 1.892 0.257 18.849
O 2.781 8.086 7.121
O 2.800 12.782 20.259
O 2.811 13.188 22.689
O 2.851 7.723 4.707
O 2.872 12.818 13.545
O 2.874 7.619 21.351
O 2.879 8.036 13.851
O 2.894 2.406 12.367
O 2.893 2.888 15.007
O 2.897 13.258 6.009
O 3.022 2.401 5.699
O 3.021 2.770 21.701
O 3.448 11.737 8.480
O 3.516 6.467 9.652
O 3.515 14.490 10.961
O 3.524 1.202 0.769
O 3.539 14.437 17.726
O 3.552 4.077 3.180
O 3.578 1.278 17.503
O 3.579 9.165 18.898
O 3.588 6.399 16.423
O 3.614 4.036 9.895
O 3.639 11.778 1.817
O 3.700 9.097 2.159
O 3.860 6.200 18.840
O 3.873 4.309 0.768
O 3.871 14.625 1.862
O 3.877 14.697 8.536
O 3.888 1.086 9.887
O 3.899 1.022 3.182
O 3.899 4.234 17.506
O 3.907 6.265 2.158
O 3.917 11.638 17.778
O 3.949 9.357 16.315
O 3.959 9.264 9.586
O 4.021 11.449 11.080
O 5.114 14.580 20.208
O 5.188 14.443 13.551
O 5.232 6.266 7.154
O 5.233 6.440 13.889
O 5.270 4.098 5.687
O 5.272 4.276 12.382
O 5.280 1.045 15.003
O 5.303 1.180 21.674
O 5.311 11.476 5.982
O 5.324 9.395 21.348
O 5.345 9.466 4.693
O 5.337 11.339 22.704
O 5.436 6.579 21.327
O 5.532 3.967 21.694
O 5.579 6.499 4.567
O 5.613 14.422 6.024
O 5.643 4.022 15.038
O 5.649 9.214 13.846
O 5.644 11.620 13.595
O 5.639 14.344 22.802
O 5.660 1.250 12.366
O 5.671 1.239 5.711
O 5.670 9.326 7.109
O 5.694 11.575 20.278
O 6.174 13.217 17.671
O 6.205 12.873 1.905
O 6.216 7.682 9.631
O 6.324 2.822 9.891
O 6.335 2.460 17.495
O 6.349 8.031 2.137
O 6.345 12.792 8.444
O 6.343 13.340 11.077
O 6.380 2.812 3.192
O 6.396 7.608 16.379
O 6.406 8.017 18.778
O 6.430 2.473 0.770
O 7.318 10.242 12.460
O 7.338 0.227 7.081
O 7.350 15.413 4.682
O 7.373 10.579 14.883
O 7.405 10.230 5.738
O 7.408 10.573 21.656
O 7.417 5.011 20.175
O 7.413 5.539 22.799
O 7.531 5.095 13.590
O 7.536 0.181 13.823
O 7.534 15.477 21.316
O 7.583 5.446 5.965
O 8.068 8.984 0.791
O 8.081 1.535 18.824
O 8.077 3.791 8.570
O 8.076 9.029 17.414
O 8.105 1.449 2.151
O 8.105 3.863 1.902
O 8.110 11.797 3.325
O 8.114 6.555 11.096
O 8.126 6.620 17.733
O 8.182 14.282 16.287
O 8.217 11.758 9.978
O 8.294 14.367 9.587
O 8.388 1.689 16.406
O 8.389 3.556 10.996
O 8.389 8.816 3.216
O 8.406 1.617 9.639
O 8.439 3.686 17.705
O 8.444 8.989 9.975
O 8.457 6.838 1.883
O 8.457 12.012 0.710
O 8.479 11.865 17.406
O 8.504 14.022 18.885
O 8.516 14.224 2.183
O 8.614 6.812 8.486
```



## Na2TaTiSi2PO12 (PBE)

Data for crystalline Na2TaTiSi2PO12 at its relaxed geometry.

The structure in extended XYZ format:
```
114
Lattice="8.886 0.006 -0.026 -4.437 7.698 0.026 -0.068 0.039 22.373" Properties=species:S:1:pos:R:3 pbc="T T T"
O 1.031 6.456 10.679
O -0.655 1.559 4.247
O 2.737 7.512 15.434
O 3.739 6.300 13.195
O -1.685 4.928 7.985
O -0.642 1.477 20.362
O 0.631 1.520 9.183
O 0.896 1.296 2.008
O 5.103 1.037 3.125
O 5.949 2.392 5.464
O 1.004 1.335 18.128
O 3.455 1.258 5.446
O -1.563 5.337 10.610
O 3.328 3.889 20.638
O 2.779 2.858 9.452
O 7.297 0.222 18.033
O 0.922 3.914 1.752
O 0.542 3.745 16.917
O 3.413 6.418 20.370
O 1.645 0.203 6.862
O 3.474 3.832 14.321
O 3.848 4.021 5.437
O 5.456 1.255 0.630
O 0.854 6.457 16.932
O 0.598 6.625 8.058
O -1.009 3.835 12.921
O 3.465 6.438 4.321
O -0.989 6.409 21.796
O 0.993 3.832 8.105
O 3.802 1.026 14.391
O 3.439 1.317 11.770
O -0.696 6.719 19.171
O 1.592 4.948 19.292
O 7.792 1.311 13.163
O 5.061 6.198 18.049
O 5.906 2.805 20.628
O 2.779 2.351 0.510
O -2.804 7.486 4.394
O 3.767 4.142 11.696
O 2.882 7.502 9.175
O -1.685 5.435 16.927
O 5.006 1.168 9.442
O 1.603 5.363 21.787
O 1.485 4.969 12.939
O -0.682 3.717 5.746
O 5.317 1.376 16.650
O 7.242 0.281 1.977
O -3.542 6.491 9.227
O 0.657 6.641 1.734
O -0.662 3.603 21.866
O -1.025 3.894 19.245
O 2.856 2.381 16.624
O 7.938 1.255 6.846
O 1.510 5.343 5.730
O -2.979 7.546 20.414
O 0.571 1.504 15.508
O -0.616 6.598 12.912
O 6.055 2.371 11.817
O -1.540 4.919 1.726
O 5.317 3.879 9.457
O 5.032 6.289 1.992
O 2.901 2.760 3.135
O 5.061 4.048 0.583
O 5.053 4.103 16.632
O 5.494 3.879 3.204
O -3.471 6.409 15.580
O 6.067 2.786 14.311
O -1.067 6.426 5.740
O 3.713 1.179 20.644
O 3.828 6.147 6.942
O 1.484 0.222 13.179
O 0.639 3.615 10.600
P 5.624 5.502 16.820
P 1.202 2.919 9.371
P 5.666 0.342 1.896
P 6.951 2.646 13.082
P 2.487 5.223 20.557
P 2.529 0.063 5.633
Si -1.371 7.357 20.525
Si 1.889 2.616 1.864
Si 7.557 2.203 5.575
Si 3.134 5.482 5.617
Si 3.107 0.361 13.066
Si 1.233 2.269 16.803
Si 3.093 4.780 13.050
Si 1.259 7.390 9.354
Si -2.574 5.193 9.339
Si 6.285 0.078 16.762
Si 5.723 4.813 1.879
Si -1.356 2.938 20.541
Ta 4.417 2.585 10.689
Ta -0.012 5.144 6.978
Ta -0.046 5.162 18.164
Ta -4.475 7.721 14.453
Ta 4.384 2.606 21.876
Ta -4.442 7.700 3.266
Ti 4.341 2.592 15.368
Ti -0.055 5.130 0.470
Ti 4.408 2.630 4.182
Ti -0.056 5.207 11.657
Ti -0.082 0.086 19.106
Ti 4.367 7.713 7.919
Na 4.399 7.576 22.274
Na -0.023 4.993 14.825
Na -1.176 2.621 1.873
Na 4.441 2.416 7.350
Na 3.246 5.204 9.322
Na 0.147 5.208 3.638
Na 0.121 0.087 11.087
Na 1.530 2.311 20.509
Na 1.557 7.432 13.060
Na 4.543 2.670 18.536
Na 6.020 4.855 5.585
Na 3.220 0.083 16.771
```



## Y2O3 (PBE)

Data for crystalline Y2O3 at its relaxed geometry.

The structure in extended XYZ format:
```
30
Lattice="8.617 0.000 0.000 0.000 3.503 0.000 -2.191 0.000 14.339" Properties=species:S:1:pos:R:3 pbc="T T T"
Y -0.189 0.876 1.525
Y -0.971 2.627 8.823
Y 1.009 0.876 11.243
Y 1.654 0.876 7.052
Y 2.158 2.627 4.038
Y 3.047 0.876 0.922
Y 3.379 2.627 13.416
Y 4.268 0.876 10.301
Y 4.773 2.627 7.287
Y 5.417 2.627 3.095
Y 7.398 0.876 5.515
Y 6.616 2.627 12.814
O 0.011 2.627 6.728
O -1.024 0.876 13.840
O -0.409 2.627 11.232
O 0.896 0.876 4.560
O 1.461 2.627 1.860
O 0.483 0.876 9.045
O 2.834 2.627 6.154
O 1.987 0.876 13.284
O 3.710 0.876 3.281
O 2.717 2.627 11.058
O 4.440 2.627 1.055
O 3.592 0.876 8.184
O 5.944 2.627 5.293
O 4.966 0.876 12.479
O 5.531 2.627 9.778
O 6.836 0.876 3.107
O 7.451 2.627 0.499
O 6.416 0.876 7.611
```



## Dy12Re5C15 (PBE)

Data for crystalline Dy12Re5C15 at its relaxed geometry.

The structure in extended XYZ format:
```
32
Lattice="10.737 0.000 0.000 -5.368 9.298 0.000 0.000 0.000 5.104" Properties=species:S:1:pos:R:3 pbc="T T T"
Dy -2.288 3.964 0.000
Dy -4.266 7.389 0.000
Dy -1.925 6.787 2.552
Dy 1.102 1.909 0.000
Dy 0.453 4.238 2.552
Dy 4.577 0.000 0.000
Dy 3.444 2.511 2.552
Dy 1.472 7.572 2.552
Dy 3.080 5.335 0.000
Dy 6.840 1.727 2.552
Dy 8.532 0.000 0.000
Dy 5.821 5.060 2.552
Re -0.815 1.411 2.552
Re 1.629 0.000 2.552
Re 0.000 6.199 0.000
Re 5.368 3.099 0.000
Re 4.554 7.887 2.552
C -1.788 3.097 2.552
C -2.466 4.271 2.552
C -4.210 7.293 2.552
C -1.841 6.711 0.000
C 1.158 2.006 2.552
C 0.477 4.349 0.000
C 3.576 0.000 2.552
C 4.931 0.000 2.552
C 3.528 2.587 0.000
C 1.364 7.537 0.000
C 2.903 5.028 2.552
C 3.581 6.202 2.552
C 6.732 1.762 0.000
C 8.421 0.000 2.552
C 5.845 4.950 0.000
```



34
Lattice="5.599 0.000 0.000 -1.525 13.467 0.000 -1.416 -3.892 14.956" Properties=species:S:1:pos:R:3 comment="Bi2Te7Cl8 PBE optimized geometry" relative_energy_mev_per_atom=0 pbc="T T T"
Bi -0.251 5.068 1.648
Bi -0.282 9.095 3.376
Bi 2.940 0.480 11.580
Bi 2.909 4.507 13.308
Te -1.439 6.631 8.174
Te -1.430 10.351 9.738
Te -0.300 -3.410 14.016
Te 0.333 0.396 6.945
Te 0.430 4.405 8.500
Te -0.159 7.843 14.001
Te 0.439 8.305 9.965
Te 2.219 1.270 4.991
Te 2.817 1.733 0.955
Te 2.228 5.170 6.456
Te 2.325 9.180 8.011
Te 2.958 12.985 0.940
Te 4.088 -0.775 5.218
Te 4.097 2.944 6.782
Cl -2.236 7.033 12.161
Cl -0.686 6.344 4.108
Cl -0.901 -0.233 14.430
Cl -0.738 9.896 5.813
Cl 0.564 7.538 0.881
Cl 0.529 0.869 10.910
Cl 0.314 11.625 2.867
Cl 0.543 4.893 12.419
Cl 2.115 4.682 2.537
Cl 2.344 -2.050 12.089
Cl 2.129 8.706 4.046
Cl 2.094 2.038 14.076
Cl 3.396 -0.321 9.143
Cl 3.559 9.809 0.526
Cl 3.344 3.231 10.848
Cl 4.894 2.542 2.795



Calculated DFT total energy (eV per cell), listed in the same order as above: -1575.36, -889.39, -271.85, -267.55, -107.38
Calculated energy of formation (eV per atom), listed in the same order as above: -2.731, -3.076, -3.918, -0.363, -0.825